DFT (meta-GGA r2SCAN) results for EuB6 after structural relaxation.

Cell: 4.158 4.158 4.158 Å, 90.00 90.00 90.00°
Element x y z (fractional)
Eu 0.000 0.000 0.000
B 0.798 0.500 0.500
B 0.202 0.500 0.500
B 0.500 0.500 0.798
B 0.500 0.500 0.202
B 0.500 0.202 0.500
B 0.500 0.798 0.500

Output
For the formation energy from the elements, the calculation gives -3.84 eV per formula unit. The mass density comes out at 5.009 g/cm³. As for the volume: 10.3 A^3/atom.